{"formula": "MgH10Se2O10", "functional": "PBE-GGA", "state": "relaxed", "lattice": [[7.401, -3.824, 0.000], [7.401, 3.824, 0.000], [-6.860, 0.000, 8.852]], "species": ["Mg", "Mg", "H", "H", "H", "H", "H", "H", "H", "H", "H", "H", "H", "H", "H", "H", "H", "H", "H", "H", "H", "H", "Se", "Se", "Se", "Se", "O", "O", "O", "O", "O", "O", "O", "O", "O", "O", "O", "O", "O", "O", "O", "O", "O", "O", "O", "O"], "fractional_positions": [[0.035, 0.965, 0.750], [0.965, 0.035, 0.250], [0.052, 0.588, 0.778], [0.249, 0.627, 0.169], [0.256, 0.398, 0.944], [0.258, 0.286, 0.024], [0.286, 0.258, 0.524], [0.320, 0.561, 0.667], [0.373, 0.751, 0.331], [0.398, 0.256, 0.444], [0.412, 0.948, 0.722], [0.439, 0.680, 0.833], [0.561, 0.320, 0.167], [0.588, 0.052, 0.278], [0.602, 0.744, 0.556], [0.627, 0.249, 0.669], [0.680, 0.439, 0.333], [0.714, 0.742, 0.476], [0.742, 0.714, 0.976], [0.744, 0.602, 0.056], [0.751, 0.373, 0.831], [0.948, 0.412, 0.222], [0.009, 0.265, 0.615], [0.265, 0.009, 0.115], [0.735, 0.991, 0.885], [0.991, 0.735, 0.385], [0.067, 0.157, 0.188], [0.109, 0.179, 0.482], [0.144, 0.435, 0.770], [0.157, 0.067, 0.688], [0.179, 0.109, 0.982], [0.233, 0.767, 0.250], [0.302, 0.698, 0.750], [0.311, 0.382, 0.043], [0.382, 0.311, 0.543], [0.435, 0.144, 0.270], [0.565, 0.856, 0.730], [0.618, 0.689, 0.457], [0.689, 0.618, 0.957], [0.698, 0.302, 0.250], [0.767, 0.233, 0.750], [0.821, 0.891, 0.018], [0.843, 0.933, 0.312], [0.856, 0.565, 0.230], [0.891, 0.821, 0.518], [0.933, 0.843, 0.812]], "mass_density_g_cm3": 2.34, "volume_a3_per_fu": 250.5, "energy_ha_per_atom": -0.1892}

=====

{"formula": "Mg3H12SeO9", "functional": "PBE-GGA", "state": "relaxed", "lattice": [[8.911, 0.000, 0.000], [1.274, 10.192, 0.000], [4.074, 0.190, 9.816]], "species": ["Mg", "Mg", "Mg", "H", "H", "H", "H", "H", "H", "H", "H", "H", "H", "H", "H", "Se", "O", "O", "O", "O", "O", "O", "O", "O", "O"], "fractional_positions": [[0.000, 0.000, 0.000], [0.094, 0.558, 0.524], [0.586, 0.569, 0.554], [0.022, 0.829, 0.136], [0.034, 0.936, 0.770], [0.046, 0.098, 0.744], [0.069, 0.757, 0.683], [0.617, 0.641, 0.235], [0.641, 0.873, 0.472], [0.642, 0.846, 0.330], [0.679, 0.689, 0.020], [0.766, 0.589, 0.909], [0.798, 0.037, 0.250], [0.800, 0.662, 0.197], [0.971, 0.748, 0.837], [0.115, 0.622, 0.019], [0.023, 0.608, 0.910], [0.055, 0.025, 0.804], [0.079, 0.819, 0.037], [0.622, 0.917, 0.395], [0.666, 0.649, 0.945], [0.690, 0.710, 0.206], [0.898, 0.054, 0.174], [0.986, 0.591, 0.177], [0.988, 0.811, 0.757]], "mass_density_g_cm3": 0.57, "volume_a3_per_fu": 891.4, "energy_ha_per_atom": -0.1662}

=====

{"formula": "MgH2SeO5", "functional": "PBE-GGA", "state": "relaxed", "lattice": [[3.520, -4.121, 0.000], [3.520, 4.121, 0.000], [-3.432, 0.000, 6.985]], "species": ["Mg", "Mg", "H", "H", "H", "H", "Se", "Se", "O", "O", "O", "O", "O", "O", "O", "O", "O", "O"], "fractional_positions": [[0.000, 0.500, 0.000], [0.500, 0.000, 0.500], [0.032, 0.133, 0.704], [0.133, 0.032, 0.204], [0.867, 0.968, 0.796], [0.968, 0.867, 0.296], [0.415, 0.585, 0.750], [0.585, 0.415, 0.250], [0.123, 0.877, 0.250], [0.250, 0.316, 0.151], [0.282, 0.680, 0.917], [0.316, 0.250, 0.651], [0.320, 0.718, 0.583], [0.680, 0.282, 0.417], [0.684, 0.750, 0.349], [0.718, 0.320, 0.083], [0.750, 0.684, 0.849], [0.877, 0.123, 0.750]], "mass_density_g_cm3": 3.04, "volume_a3_per_fu": 101.3, "energy_ha_per_atom": -0.1980}

=====

{"formula": "MgTl2H12Se2O14", "functional": "PBE-GGA", "state": "relaxed", "lattice": [[6.476, 0.000, 0.000], [0.000, 12.910, 0.000], [-2.603, 0.000, 9.183]], "species": ["Mg", "Mg", "Tl", "Tl", "Tl", "Tl", "H", "H", "H", "H", "H", "H", "H", "H", "H", "H", "H", "H", "H", "H", "H", "H", "H", "H", "H", "H", "H", "H", "H", "H", "Se", "Se", "Se", "Se", "O", "O", "O", "O", "O", "O", "O", "O", "O", "O", "O", "O", "O", "O", "O", "O", "O", "O", "O", "O", "O", "O", "O", "O", "O", "O", "O", "O"], "fractional_positions": [[0.000, 0.000, 0.000], [0.000, 0.500, 0.500], [0.353, 0.142, 0.620], [0.353, 0.358, 0.120], [0.647, 0.642, 0.880], [0.647, 0.858, 0.380], [0.003, 0.182, 0.860], [0.003, 0.318, 0.360], [0.065, 0.597, 0.762], [0.065, 0.903, 0.262], [0.098, 0.125, 0.237], [0.098, 0.375, 0.737], [0.320, 0.088, 0.209], [0.320, 0.412, 0.709], [0.325, 0.639, 0.525], [0.325, 0.861, 0.025], [0.331, 0.559, 0.401], [0.331, 0.941, 0.901], [0.669, 0.059, 0.099], [0.669, 0.441, 0.599], [0.675, 0.139, 0.975], [0.675, 0.361, 0.475], [0.680, 0.588, 0.291], [0.680, 0.912, 0.791], [0.902, 0.625, 0.263], [0.902, 0.875, 0.763], [0.935, 0.097, 0.738], [0.935, 0.403, 0.238], [0.997, 0.682, 0.640], [0.997, 0.818, 0.140], [0.261, 0.641, 0.094], [0.261, 0.859, 0.594], [0.739, 0.141, 0.406], [0.739, 0.359, 0.906], [0.023, 0.108, 0.840], [0.023, 0.392, 0.340], [0.029, 0.682, 0.123], [0.029, 0.818, 0.623], [0.167, 0.104, 0.161], [0.167, 0.396, 0.661], [0.217, 0.573, 0.939], [0.217, 0.927, 0.439], [0.284, 0.567, 0.491], [0.284, 0.933, 0.991], [0.393, 0.562, 0.230], [0.393, 0.938, 0.730], [0.422, 0.743, 0.090], [0.422, 0.757, 0.590], [0.578, 0.243, 0.410], [0.578, 0.257, 0.910], [0.607, 0.062, 0.270], [0.607, 0.438, 0.770], [0.716, 0.067, 0.009], [0.716, 0.433, 0.509], [0.783, 0.073, 0.561], [0.783, 0.427, 0.061], [0.833, 0.604, 0.339], [0.833, 0.896, 0.839], [0.971, 0.182, 0.377], [0.971, 0.318, 0.877], [0.977, 0.608, 0.660], [0.977, 0.892, 0.160]], "mass_density_g_cm3": 3.58, "volume_a3_per_fu": 383.9, "energy_ha_per_atom": -0.1861}